Entry 1:
Material: CaGdCd2
Method: DFT, r2SCAN
State: optimized geometry

## Properties
space group = Fm-3m
total moment = 7.33 μB per cell
volume = 108 Å³/cell
crystal system = cubic
energy of formation from the pure elements = -0.357 eV per atom

a = 5.347 Å, b = 5.347 Å, c = 5.347 Å
α = 60.00°, β = 60.00°, γ = 60.00°
Element x y z (fractional)
Ca1 0.000 0.000 0.000
Gd1 0.500 0.500 0.500
Cd1 0.250 0.250 0.250
Cd2 0.750 0.750 0.750

***

Entry 2:
Material: CaCdGe
Method: DFT, r2SCAN
State: optimized geometry

## Properties
space group = P-62m
total moment = 0.00 μB per cell
volume = 207 Å³/cell
crystal system = hexagonal
energy of formation from the pure elements = -0.567 eV per atom

a = 7.314 Å, b = 7.314 Å, c = 4.479 Å
α = 90.00°, β = 90.00°, γ = 120.00°
Element x y z (fractional)
Ca1 0.000 0.580 0.000
Ca2 0.420 0.420 0.000
Ca3 0.580 0.000 0.000
Cd1 0.000 0.254 0.500
Cd2 0.254 0.000 0.500
Cd3 0.746 0.746 0.500
Ge1 0.000 0.000 0.000
Ge2 0.333 0.667 0.500
Ge3 0.667 0.333 0.500

***

Entry 3:
Material: Ca2CdHg
Method: DFT, r2SCAN
State: optimized geometry

## Properties
space group = Fm-3m
total moment = 0.00 μB per cell
volume = 108 Å³/cell
crystal system = cubic
energy of formation from the pure elements = -0.481 eV per atom

a = 5.354 Å, b = 5.354 Å, c = 5.354 Å
α = 60.00°, β = 60.00°, γ = 60.00°
Element x y z (fractional)
Ca1 0.250 0.250 0.250
Ca2 0.750 0.750 0.750
Cd1 0.000 0.000 0.000
Hg1 0.500 0.500 0.500

***

Entry 4:
Material: Ca2CdIn
Method: DFT, r2SCAN
State: optimized geometry

## Properties
space group = Fm-3m
total moment = 0.00 μB per cell
volume = 112 Å³/cell
crystal system = cubic
energy of formation from the pure elements = -0.496 eV per atom

a = 5.415 Å, b = 5.415 Å, c = 5.415 Å
α = 60.00°, β = 60.00°, γ = 60.00°
Element x y z (fractional)
Ca1 0.250 0.250 0.250
Ca2 0.750 0.750 0.750
Cd1 0.000 0.000 0.000
In1 0.500 0.500 0.500

***

Entry 5:
Material: CaNdCd2
Method: DFT, r2SCAN
State: optimized geometry

## Properties
space group = Fm-3m
total moment = 0.00 μB per cell
volume = 112 Å³/cell
crystal system = cubic
energy of formation from the pure elements = -0.405 eV per atom

a = 5.413 Å, b = 5.413 Å, c = 5.413 Å
α = 60.00°, β = 60.00°, γ = 60.00°
Element x y z (fractional)
Ca1 0.000 0.000 0.000
Nd1 0.500 0.500 0.500
Cd1 0.250 0.250 0.250
Cd2 0.750 0.750 0.750

***

Entry 6:
Material: CaCdPd
Method: DFT, r2SCAN
State: optimized geometry

## Properties
space group = Pnma
total moment = 0.00 μB per cell
volume = 269 Å³/cell
crystal system = orthorhombic
energy of formation from the pure elements = -0.621 eV per atom

a = 7.289 Å, b = 4.329 Å, c = 8.539 Å
α = 90.00°, β = 90.00°, γ = 90.00°
Element x y z (fractional)
Ca1 0.034 0.250 0.179
Ca2 0.466 0.750 0.679
Ca3 0.534 0.250 0.321
Ca4 0.966 0.750 0.821
Cd1 0.143 0.250 0.562
Cd2 0.357 0.750 0.062
Cd3 0.643 0.250 0.938
Cd4 0.857 0.750 0.438
Pd1 0.239 0.750 0.371
Pd2 0.261 0.250 0.871
Pd3 0.739 0.750 0.129
Pd4 0.761 0.250 0.629

***

Entry 7:
Material: CaPmCd2
Method: DFT, r2SCAN
State: optimized geometry

## Properties
space group = Fm-3m
total moment = 0.00 μB per cell
volume = 111 Å³/cell
crystal system = cubic
energy of formation from the pure elements = -0.405 eV per atom

a = 5.390 Å, b = 5.390 Å, c = 5.390 Å
α = 60.00°, β = 60.00°, γ = 60.00°
Element x y z (fractional)
Ca1 0.000 0.000 0.000
Pm1 0.500 0.500 0.500
Cd1 0.250 0.250 0.250
Cd2 0.750 0.750 0.750

***

Entry 8:
Material: Ca2CdSb2
Method: DFT, r2SCAN
State: optimized geometry

## Properties
space group = Pnma
total moment = 0.00 μB per cell
volume = 598 Å³/cell
crystal system = orthorhombic
energy of formation from the pure elements = -0.950 eV per atom

a = 7.337 Å, b = 4.633 Å, c = 17.607 Å
α = 90.00°, β = 90.00°, γ = 90.00°
Element x y z (fractional)
Ca1 0.035 0.250 0.227
Ca2 0.225 0.250 0.447
Ca3 0.275 0.750 0.947
Ca4 0.465 0.750 0.727
Ca5 0.535 0.250 0.273
Ca6 0.725 0.250 0.053
Ca7 0.775 0.750 0.553
Ca8 0.965 0.750 0.773
Cd1 0.136 0.250 0.651
Cd2 0.364 0.750 0.151
Cd3 0.636 0.250 0.849
Cd4 0.864 0.750 0.349
Sb1 0.246 0.250 0.072
Sb2 0.247 0.250 0.816
Sb3 0.253 0.750 0.316
Sb4 0.254 0.750 0.572
Sb5 0.746 0.250 0.428
Sb6 0.747 0.250 0.684
Sb7 0.753 0.750 0.184
Sb8 0.754 0.750 0.928

***

Entry 9:
Material: CaSmCd2
Method: DFT, r2SCAN
State: optimized geometry

## Properties
space group = Fm-3m
total moment = 0.00 μB per cell
volume = 110 Å³/cell
crystal system = cubic
energy of formation from the pure elements = -0.400 eV per atom

a = 5.373 Å, b = 5.373 Å, c = 5.373 Å
α = 60.00°, β = 60.00°, γ = 60.00°
Element x y z (fractional)
Ca1 0.000 0.000 0.000
Sm1 0.500 0.500 0.500
Cd1 0.250 0.250 0.250
Cd2 0.750 0.750 0.750

***

Entry 10:
Material: CaCdSn
Method: DFT, r2SCAN
State: optimized geometry

## Properties
space group = P-62m
total moment = 0.00 μB per cell
volume = 239 Å³/cell
crystal system = hexagonal
energy of formation from the pure elements = -0.580 eV per atom

a = 7.678 Å, b = 7.678 Å, c = 4.686 Å
α = 90.00°, β = 90.00°, γ = 120.00°
Element x y z (fractional)
Ca1 0.000 0.575 0.000
Ca2 0.425 0.425 0.000
Ca3 0.575 0.000 0.000
Cd1 0.000 0.252 0.500
Cd2 0.252 0.000 0.500
Cd3 0.748 0.748 0.500
Sn1 0.000 0.000 0.000
Sn2 0.333 0.667 0.500
Sn3 0.667 0.333 0.500

***

Entry 11:
Material: CaTmCd2
Method: DFT, r2SCAN
State: optimized geometry

## Properties
space group = Fm-3m
total moment = 0.00 μB per cell
volume = 103 Å³/cell
crystal system = cubic
energy of formation from the pure elements = -0.363 eV per atom

a = 5.269 Å, b = 5.269 Å, c = 5.269 Å
α = 60.00°, β = 60.00°, γ = 60.00°
Element x y z (fractional)
Ca1 0.000 0.000 0.000
Tm1 0.500 0.500 0.500
Cd1 0.250 0.250 0.250
Cd2 0.750 0.750 0.750

***

Entry 12:
Material: Ca2ZnCd
Method: DFT, r2SCAN
State: optimized geometry

## Properties
space group = Fm-3m
total moment = 0.00 μB per cell
volume = 105 Å³/cell
crystal system = cubic
energy of formation from the pure elements = -0.285 eV per atom

a = 5.298 Å, b = 5.298 Å, c = 5.298 Å
α = 60.00°, β = 60.00°, γ = 60.00°
Element x y z (fractional)
Ca1 0.250 0.250 0.250
Ca2 0.750 0.750 0.750
Zn1 0.000 0.000 0.000
Cd1 0.500 0.500 0.500

***

Entry 13:
Material: Cs2CaCl4
Method: DFT, r2SCAN
State: optimized geometry

## Properties
space group = I4/mmm
total moment = 0.00 μB per cell
volume = 252 Å³/cell
crystal system = tetragonal
energy of formation from the pure elements = -2.436 eV per atom

a = 9.458 Å, b = 9.458 Å, c = 9.458 Å
α = 146.88°, β = 146.88°, γ = 47.55°
Element x y z (fractional)
Cs1 0.144 0.144 0.000
Cs2 0.856 0.856 0.000
Ca1 0.500 0.500 0.000
Cl1 0.000 0.500 0.500
Cl2 0.342 0.342 0.000
Cl3 0.500 0.000 0.500
Cl4 0.658 0.658 0.000

***

Entry 14:
Material: CsCaCl3
Method: DFT, r2SCAN
State: optimized geometry

## Properties
space group = P1
total moment = 0.00 μB per cell
volume = 159 Å³/cell
crystal system = triclinic
energy of formation from the pure elements = -2.534 eV per atom

a = 5.416 Å, b = 5.417 Å, c = 5.420 Å
α = 89.99°, β = 89.98°, γ = 89.99°
Element x y z (fractional)
Cs1 0.000 0.000 0.000
Ca1 0.500 0.497 0.500
Cl1 0.000 0.497 0.501
Cl2 0.498 0.997 0.498
Cl3 0.503 0.495 0.000

***

Entry 15:
Material: CsCaCl3
Method: DFT, r2SCAN
State: optimized geometry

## Properties
space group = I4/mcm
total moment = 0.00 μB per cell
volume = 317 Å³/cell
crystal system = tetragonal
energy of formation from the pure elements = -2.534 eV per atom

a = 7.668 Å, b = 7.668 Å, c = 7.668 Å
α = 120.36°, β = 120.36°, γ = 89.38°
Element x y z (fractional)
Cs1 0.250 0.750 0.500
Cs2 0.750 0.250 0.500
Ca1 0.000 0.000 0.000
Ca2 0.500 0.500 0.000
Cl1 0.224 0.724 0.948
Cl2 0.250 0.250 0.000
Cl3 0.276 0.224 0.500
Cl4 0.724 0.776 0.500
Cl5 0.750 0.750 0.000
Cl6 0.776 0.276 0.052

***

Entry 16:
Material: Cs3Ca2Cl7
Method: DFT, r2SCAN
State: optimized geometry

## Properties
space group = I4/mmm
total moment = 0.00 μB per cell
volume = 410 Å³/cell
crystal system = tetragonal
energy of formation from the pure elements = -2.479 eV per atom

a = 14.542 Å, b = 14.542 Å, c = 14.542 Å
α = 158.58°, β = 158.58°, γ = 30.47°
Element x y z (fractional)
Cs1 0.000 0.000 0.000
Cs2 0.183 0.183 0.000
Cs3 0.817 0.817 0.000
Ca1 0.402 0.402 0.000
Ca2 0.598 0.598 0.000
Cl1 0.095 0.595 0.500
Cl2 0.306 0.306 0.000
Cl3 0.405 0.905 0.500
Cl4 0.500 0.500 0.000
Cl5 0.595 0.095 0.500
Cl6 0.694 0.694 0.000
Cl7 0.905 0.405 0.500

***

Entry 17:
Material: CaClF
Method: DFT, r2SCAN
State: optimized geometry

## Properties
space group = P4/nmm
total moment = 0.00 μB per cell
volume = 103 Å³/cell
crystal system = tetragonal
energy of formation from the pure elements = -3.464 eV per atom

a = 3.876 Å, b = 3.876 Å, c = 6.843 Å
α = 90.00°, β = 90.00°, γ = 90.00°
Element x y z (fractional)
Ca1 0.250 0.250 0.195
Ca2 0.750 0.750 0.805
Cl1 0.250 0.250 0.645
Cl2 0.750 0.750 0.355
F1 0.250 0.750 0.000
F2 0.750 0.250 0.000

***

Entry 18:
Material: CaHCl
Method: DFT, r2SCAN
State: optimized geometry

## Properties
space group = P4/nmm
total moment = 0.00 μB per cell
volume = 101 Å³/cell
crystal system = tetragonal
energy of formation from the pure elements = -1.700 eV per atom

a = 3.817 Å, b = 3.817 Å, c = 6.903 Å
α = 90.00°, β = 90.00°, γ = 90.00°
Element x y z (fractional)
Ca1 0.250 0.250 0.192
Ca2 0.750 0.750 0.808
H1 0.250 0.750 0.000
H2 0.750 0.250 0.000
Cl1 0.250 0.250 0.653
Cl2 0.750 0.750 0.347

***

Entry 19:
Material: Ca7H12Cl2
Method: DFT, r2SCAN
State: optimized geometry

## Properties
space group = P-6
total moment = 0.00 μB per cell
volume = 276 Å³/cell
crystal system = hexagonal
energy of formation from the pure elements = -0.968 eV per atom

a = 9.315 Å, b = 9.315 Å, c = 3.672 Å
α = 90.00°, β = 90.00°, γ = 120.00°
Element x y z (fractional)
Ca1 0.000 0.000 0.000
Ca2 0.115 0.718 0.500
Ca3 0.282 0.397 0.500
Ca4 0.411 0.105 0.000
Ca5 0.603 0.885 0.500
Ca6 0.694 0.589 0.000
Ca7 0.895 0.306 0.000
H1 0.048 0.439 0.500
H2 0.118 0.275 0.000
H3 0.157 0.882 0.000
H4 0.215 0.113 0.500
H5 0.391 0.952 0.500
H6 0.423 0.365 0.000
H7 0.561 0.609 0.500
H8 0.635 0.059 0.000
H9 0.725 0.843 0.000
H10 0.887 0.102 0.500
H11 0.898 0.785 0.500
H12 0.941 0.577 0.000
Cl1 0.333 0.667 0.000
Cl2 0.667 0.333 0.500

***

Entry 20:
Material: CaMg2H24Cl6O12
Method: DFT, r2SCAN
State: optimized geometry

## Properties
space group = R-3
total moment = 0.00 μB per cell
volume = 500 Å³/cell
crystal system = trigonal
energy of formation from the pure elements = -1.328 eV per atom

a = 8.154 Å, b = 8.154 Å, c = 8.154 Å
α = 75.88°, β = 75.88°, γ = 75.88°
Element x y z (fractional)
Ca1 0.000 0.000 0.000
Mg1 0.325 0.325 0.325
Mg2 0.675 0.675 0.675
H1 0.053 0.386 0.170
H2 0.078 0.150 0.539
H3 0.150 0.539 0.078
H4 0.154 0.577 0.504
H5 0.170 0.053 0.386
H6 0.195 0.407 0.642
H7 0.358 0.805 0.593
H8 0.386 0.170 0.053
H9 0.407 0.642 0.195
H10 0.423 0.496 0.846
H11 0.461 0.922 0.850
H12 0.496 0.846 0.423
H13 0.504 0.154 0.577
H14 0.539 0.078 0.150
H15 0.577 0.504 0.154
H16 0.593 0.358 0.805
H17 0.614 0.830 0.947
H18 0.642 0.195 0.407
H19 0.805 0.593 0.358
H20 0.830 0.947 0.614
H21 0.846 0.423 0.496
H22 0.850 0.461 0.922
H23 0.922 0.850 0.461
H24 0.947 0.614 0.830
Cl1 0.156 0.727 0.835
Cl2 0.165 0.844 0.273
Cl3 0.273 0.165 0.844
Cl4 0.727 0.835 0.156
Cl5 0.835 0.156 0.727
Cl6 0.844 0.273 0.165
O1 0.141 0.445 0.178
O2 0.178 0.141 0.445
O3 0.199 0.455 0.520
O4 0.445 0.178 0.141
O5 0.455 0.520 0.199
O6 0.480 0.801 0.545
O7 0.520 0.199 0.455
O8 0.545 0.480 0.801
O9 0.555 0.822 0.859
O10 0.801 0.545 0.480
O11 0.822 0.859 0.555
O12 0.859 0.555 0.822